Entry 1:
First-principles (PBE) data for a relaxed structure of Rb4Zn7As7, as listed in the Materials Project.

```
Rb4Zn7As7
1.0
2.274 -12.370 0.000
2.274 12.370 0.000
0.000 0.000 17.331
Rb Zn As
8 14 14
Direct
0.000 0.000 0.000
0.000 0.000 0.500
0.140 0.860 0.612
0.140 0.860 0.888
0.287 0.713 0.750
0.713 0.287 0.250
0.860 0.140 0.112
0.860 0.140 0.388
0.003 0.997 0.250
0.148 0.852 0.109
0.148 0.852 0.391
0.284 0.716 0.531
0.284 0.716 0.969
0.426 0.574 0.671
0.426 0.574 0.829
0.574 0.426 0.171
0.574 0.426 0.329
0.716 0.284 0.031
0.716 0.284 0.469
0.852 0.148 0.609
0.852 0.148 0.891
0.997 0.003 0.750
0.105 0.895 0.250
0.249 0.751 0.105
0.249 0.751 0.395
0.386 0.614 0.541
0.386 0.614 0.959
0.472 0.528 0.180
0.472 0.528 0.320
0.528 0.472 0.680
0.528 0.472 0.820
0.614 0.386 0.041
0.614 0.386 0.459
0.751 0.249 0.605
0.751 0.249 0.895
0.895 0.105 0.750
```

Computed properties:
The calculation puts the formation energy at -30 kJ per mole of atoms. As for the space group: No. 63.

Entry 2:
First-principles (PBE) data for a relaxed structure of Sc3Co2Si3, as listed in the Materials Project.

```
Sc3Co2Si3
1.0
1.963 -4.967 0.000
1.963 4.967 0.000
0.000 0.000 12.802
Sc Co Si
6 4 6
Direct
0.080 0.920 0.613
0.080 0.920 0.887
0.357 0.643 0.750
0.643 0.357 0.250
0.920 0.080 0.113
0.920 0.080 0.387
0.215 0.785 0.083
0.215 0.785 0.417
0.785 0.215 0.583
0.785 0.215 0.917
0.336 0.664 0.250
0.386 0.614 0.541
0.386 0.614 0.959
0.614 0.386 0.041
0.614 0.386 0.459
0.664 0.336 0.750
```

Computed properties:
The calculation puts the formation energy at -78 kJ per mole of atoms. As for the space group: No. 63.

Entry 3:
First-principles (PBE) data for a relaxed structure of ZrMo3, as listed in the Materials Project.

```
ZrMo3
1.0
5.206 0.000 0.000
0.000 5.206 0.000
0.000 0.000 5.206
Zr Mo
2 6
Direct
0.000 0.000 0.000
0.500 0.500 0.500
0.000 0.250 0.500
0.000 0.750 0.500
0.250 0.500 0.000
0.500 0.000 0.250
0.500 0.000 0.750
0.750 0.500 0.000
```

Computed properties:
The calculation puts the formation energy at 22 kJ per mole of atoms. As for the space group: No. 223.

Entry 4:
First-principles (PBE) data for a relaxed structure of TlAgTe2, as listed in the Materials Project.

```
TlAgTe2
1.0
3.569 0.000 0.000
0.000 3.569 0.000
0.000 0.000 19.010
Tl Ag Te
2 2 4
Direct
0.000 0.000 0.000
0.500 0.500 0.500
0.000 0.500 0.250
0.500 0.000 0.750
0.000 0.000 0.365
0.000 0.000 0.635
0.500 0.500 0.135
0.500 0.500 0.865
```

Computed properties:
The calculation puts the formation energy at -26 kJ per mole of atoms. As for the space group: No. 119.

Entry 5:
First-principles (PBE) data for a relaxed structure of BaLaEuSbO6, as listed in the Materials Project.

```
BaLaEuSbO6
1.0
0.000 4.319 4.319
4.319 0.000 4.319
4.319 4.319 0.000
Ba La Eu Sb O
1 1 1 1 6
Direct
0.000 0.000 0.000
0.750 0.750 0.750
0.500 0.500 0.500
0.250 0.250 0.250
0.024 0.024 0.476
0.024 0.476 0.024
0.024 0.476 0.476
0.476 0.024 0.024
0.476 0.024 0.476
0.476 0.476 0.024
```

Computed properties:
As for the relative energy among the computed polymorphs: 80 meV/atom. The calculation puts the formation energy at -282 kJ per mole of atoms. As for the space group: No. 216.

Entry 6:
First-principles (PBE) data for a relaxed structure of GdTlSe2, as listed in the Materials Project.

```
GdTlSe2
1.0
4.243 0.000 0.000
-2.122 3.675 0.000
0.000 0.000 23.337
Gd Tl Se
3 3 6
Direct
0.000 0.000 0.000
0.333 0.667 0.667
0.667 0.333 0.333
0.000 0.000 0.500
0.333 0.667 0.167
0.667 0.333 0.833
0.000 0.000 0.265
0.000 0.000 0.735
0.333 0.667 0.402
0.333 0.667 0.932
0.667 0.333 0.068
0.667 0.333 0.598
```

Computed properties:
The calculation puts the formation energy at -157 kJ per mole of atoms. As for the space group: No. 166.

Entry 7:
First-principles (PBE) data for a relaxed structure of ThBe13, as listed in the Materials Project.

```
ThBe13
1.0
0.000 5.170 5.170
5.170 0.000 5.170
5.170 5.170 0.000
Th Be
2 26
Direct
0.250 0.250 0.250
0.750 0.750 0.750
0.000 0.000 0.000
0.062 0.288 0.712
0.062 0.712 0.938
0.062 0.938 0.288
0.212 0.438 0.788
0.212 0.562 0.438
0.212 0.788 0.562
0.288 0.062 0.938
0.288 0.712 0.062
0.288 0.938 0.712
0.438 0.212 0.562
0.438 0.562 0.788
0.438 0.788 0.212
0.500 0.500 0.500
0.562 0.212 0.788
0.562 0.438 0.212
0.562 0.788 0.438
0.712 0.062 0.288
0.712 0.288 0.938
0.712 0.938 0.062
0.788 0.212 0.438
0.788 0.438 0.562
0.788 0.562 0.212
0.938 0.062 0.712
0.938 0.288 0.062
0.938 0.712 0.288
```

Computed properties:
The calculation puts the formation energy at -15 kJ per mole of atoms. As for the space group: No. 226.

Entry 8:
First-principles (PBE) data for a relaxed structure of CdPd3O4, as listed in the Materials Project.

```
CdPd3O4
1.0
5.844 0.000 0.000
0.000 5.844 0.000
0.000 0.000 5.844
Cd Pd O
2 6 8
Direct
0.000 0.000 0.000
0.500 0.500 0.500
0.000 0.250 0.500
0.000 0.750 0.500
0.250 0.500 0.000
0.500 0.000 0.250
0.500 0.000 0.750
0.750 0.500 0.000
0.250 0.250 0.250
0.250 0.250 0.750
0.250 0.750 0.250
0.250 0.750 0.750
0.750 0.250 0.250
0.750 0.250 0.750
0.750 0.750 0.250
0.750 0.750 0.750
```

Computed properties:
The calculation puts the formation energy at -90 kJ per mole of atoms. As for the space group: No. 223.

Question: The highest formation energy belongs to which entry?
Answer: ZrMo3

Question: What is the formation energy in the first record?
Answer: -30 kJ per mole of atoms

Question: Among the records above, which one has the lowest formation energy?
Answer: BaLaEuSbO6